Crystalline Na3CoBAsO7 at its relaxed geometry. Source: the Materials Project database, functional GGA+U.

Unit cell a=5.292 b=11.394 c=11.388 alpha=106.53 beta=90.82 gamma=89.11
Atoms (fractional coordinates):
Na 0.244 0.372 0.128
O 0.456 0.538 0.711
O 0.791 0.184 0.870
O 0.312 0.666 0.584
O 0.392 0.857 0.395
O 0.791 0.683 0.371
O 0.689 0.334 0.416
B 0.739 0.406 0.343
O 0.131 0.581 0.168
As 0.713 0.337 0.913
Na 0.756 0.628 0.872
B 0.261 0.594 0.657
Na 0.243 0.873 0.627
O 0.794 0.879 0.567
Na 0.242 0.622 0.377
Na 0.245 0.122 0.878
O 0.975 0.938 0.813
Na 0.757 0.127 0.373
Co 0.223 0.958 0.292
Na 0.758 0.665 0.585
O 0.545 0.462 0.289
O 0.024 0.062 0.187
As 0.286 0.163 0.587
Na 0.758 0.377 0.623
O 0.455 0.038 0.213
O 0.869 0.918 0.331
O 0.608 0.143 0.605
O 0.789 0.379 0.067
Na 0.242 0.334 0.415
O 0.976 0.436 0.312
O 0.609 0.644 0.107
Na 0.239 0.834 0.915
Co 0.776 0.541 0.209
B 0.738 0.907 0.843
O 0.211 0.621 0.933
Co 0.224 0.459 0.791
O 0.869 0.419 0.831
O 0.545 0.962 0.787
O 0.206 0.121 0.433
O 0.686 0.835 0.915
O 0.391 0.356 0.893
As 0.714 0.837 0.413
Na 0.755 0.878 0.122
O 0.314 0.165 0.085
As 0.287 0.663 0.087
O 0.209 0.816 0.130
O 0.209 0.317 0.629
Co 0.776 0.042 0.708
B 0.262 0.093 0.157
O 0.131 0.082 0.669
O 0.024 0.564 0.688
Na 0.761 0.166 0.084

Output
Offset from the most stable computed form = 0.000 eV/atom
E (MP2020) = -333.063 eV/cell
E = -5.909 eV/atom
Space-group type = P-1
Energy of formation from the pure elements = -2.02 eV per atom
Mass density = 3.29 Mg/m³



Crystalline Li3CrBAsO7 at its relaxed geometry. Source: the Materials Project database, functional GGA+U.

Unit cell a=5.119 b=10.762 c=10.760 alpha=105.35 beta=94.21 gamma=85.80
Atoms (fractional coordinates):
O 0.510 0.958 0.792
O 0.175 0.130 0.424
O 0.393 0.859 0.392
O 0.825 0.674 0.380
Li 0.252 0.368 0.142
B 0.703 0.894 0.856
Cr 0.789 0.031 0.719
O 0.175 0.826 0.120
Li 0.748 0.132 0.358
O 0.510 0.458 0.292
O 0.490 0.542 0.708
O 0.607 0.641 0.108
Li 0.252 0.608 0.382
O 0.640 0.319 0.431
O 0.959 0.418 0.332
As 0.273 0.164 0.586
O 0.175 0.326 0.620
O 0.607 0.141 0.608
O 0.490 0.042 0.208
Li 0.748 0.892 0.118
O 0.041 0.582 0.668
Cr 0.211 0.469 0.781
O 0.140 0.076 0.674
As 0.727 0.336 0.914
O 0.860 0.424 0.826
Li 0.238 0.828 0.922
B 0.297 0.606 0.644
O 0.825 0.174 0.880
Cr 0.789 0.531 0.219
Cr 0.212 0.969 0.281
Li 0.748 0.392 0.618
O 0.860 0.924 0.326
Li 0.238 0.328 0.422
B 0.297 0.106 0.144
O 0.825 0.370 0.076
O 0.140 0.576 0.174
O 0.041 0.082 0.168
O 0.826 0.870 0.576
As 0.273 0.664 0.086
O 0.640 0.819 0.931
O 0.360 0.681 0.569
Li 0.762 0.672 0.578
O 0.175 0.630 0.924
O 0.360 0.181 0.069
Li 0.748 0.632 0.858
O 0.393 0.359 0.892
Li 0.762 0.172 0.078
As 0.727 0.836 0.414
B 0.703 0.394 0.356
Li 0.252 0.108 0.882
Li 0.252 0.868 0.642
O 0.959 0.918 0.832

Output
E (MP2020) = -366.100 eV/cell
E = -6.517 eV/atom
Energy of formation from the pure elements = -2.32 eV per atom
Mass density = 3.16 Mg/m³



Crystalline Na6Fe2B4AsO16 at its relaxed geometry. Source: the Materials Project database, functional GGA+U.

Unit cell a=10.064 b=10.064 c=10.064 alpha=60.00 beta=60.00 gamma=60.00
Atoms (fractional coordinates):
B 0.913 0.260 0.913
O 0.032 0.942 0.264
B 0.337 0.337 0.337
O 0.218 0.308 0.986
O 0.308 0.218 0.488
Na 0.285 0.715 0.285
O 0.570 0.570 0.570
O 0.680 0.680 0.960
B 0.990 0.337 0.337
Fe 0.125 0.625 0.125
Na 0.285 0.715 0.715
B 0.337 0.990 0.337
O 0.942 0.762 0.264
O 0.264 0.762 0.032
O 0.986 0.488 0.218
Na 0.535 0.535 0.965
Na 0.285 0.285 0.715
O 0.218 0.488 0.308
O 0.762 0.032 0.264
Na 0.535 0.965 0.965
B 0.260 0.913 0.913
O 0.264 0.942 0.762
Na 0.715 0.285 0.715
O 0.032 0.264 0.762
As 0.500 0.500 0.500
O 0.762 0.264 0.942
Na 0.965 0.535 0.535
O 0.488 0.308 0.218
O 0.762 0.942 0.032
O 0.986 0.308 0.488
O 0.986 0.218 0.308
O 0.032 0.762 0.942
Fe 0.125 0.125 0.125
O 0.680 0.960 0.680
O 0.308 0.986 0.218
Na 0.535 0.965 0.535
O 0.264 0.032 0.942
Na 0.715 0.285 0.285
Na 0.965 0.965 0.535
O 0.488 0.218 0.986
B 0.913 0.913 0.913
Na 0.715 0.715 0.285
O 0.942 0.032 0.762
O 0.942 0.264 0.032
O 0.680 0.680 0.680
B 0.337 0.337 0.990
O 0.308 0.488 0.986
O 0.570 0.570 0.290
Fe 0.125 0.125 0.625
B 0.913 0.913 0.260
As 0.750 0.750 0.750
Na 0.965 0.535 0.965
O 0.218 0.986 0.488
Fe 0.625 0.125 0.125
O 0.570 0.290 0.570
O 0.290 0.570 0.570
O 0.488 0.986 0.308
O 0.960 0.680 0.680

Output
E (MP2020) = -394.215 eV/cell
E = -6.262 eV/atom
Space-group type = Fd-3
Energy of formation from the pure elements = -2.13 eV per atom
Mass density = 2.87 Mg/m³



Crystalline Na3MnBAsO7 at its relaxed geometry. Source: the Materials Project database, functional GGA+U.

Unit cell a=5.288 b=11.491 c=11.486 alpha=102.33 beta=91.61 gamma=88.38
Atoms (fractional coordinates):
O 0.871 0.418 0.832
O 0.212 0.627 0.935
O 0.396 0.358 0.892
B 0.722 0.407 0.343
O 0.042 0.059 0.191
O 0.871 0.918 0.332
Na 0.255 0.373 0.122
O 0.604 0.642 0.108
O 0.129 0.582 0.168
O 0.958 0.441 0.309
O 0.212 0.315 0.624
B 0.278 0.593 0.657
O 0.958 0.941 0.809
O 0.689 0.833 0.917
O 0.129 0.082 0.668
Na 0.745 0.872 0.123
B 0.722 0.907 0.843
Na 0.745 0.627 0.878
O 0.689 0.333 0.417
As 0.719 0.834 0.416
As 0.281 0.666 0.084
O 0.474 0.037 0.213
Na 0.255 0.628 0.377
Na 0.745 0.127 0.378
Na 0.235 0.837 0.914
Na 0.235 0.337 0.414
O 0.788 0.185 0.876
O 0.042 0.559 0.691
O 0.396 0.858 0.392
Mn 0.784 0.540 0.210
O 0.526 0.463 0.287
Mn 0.216 0.960 0.290
Na 0.255 0.128 0.877
Mn 0.216 0.460 0.790
O 0.788 0.685 0.376
Mn 0.784 0.040 0.710
Na 0.745 0.372 0.623
As 0.719 0.334 0.916
Na 0.765 0.663 0.586
Na 0.765 0.164 0.086
Na 0.255 0.873 0.622
O 0.526 0.963 0.787
O 0.788 0.373 0.065
O 0.311 0.167 0.083
O 0.311 0.667 0.583
O 0.788 0.873 0.565
B 0.278 0.093 0.157
O 0.474 0.537 0.713
O 0.604 0.142 0.608
O 0.212 0.127 0.435
As 0.281 0.166 0.584
O 0.212 0.815 0.124

Output
E (MP2020) = -350.441 eV/cell
E = -6.241 eV/atom
Energy of formation from the pure elements = -2.19 eV per atom
Mass density = 3.14 Mg/m³



Crystalline Na6V2B4AsO16 at its relaxed geometry. Source: the Materials Project database, functional GGA+U.

Unit cell a=9.977 b=9.977 c=9.977 alpha=60.00 beta=60.00 gamma=60.00
Atoms (fractional coordinates):
Na 0.713 0.287 0.287
O 0.222 0.491 0.298
B 0.915 0.915 0.256
V 0.625 0.125 0.125
O 0.759 0.028 0.260
O 0.260 0.952 0.759
O 0.298 0.222 0.491
B 0.335 0.335 0.994
Na 0.287 0.713 0.287
O 0.289 0.570 0.570
V 0.125 0.625 0.125
O 0.260 0.759 0.028
B 0.915 0.256 0.915
Na 0.713 0.287 0.713
O 0.298 0.491 0.990
V 0.125 0.125 0.125
O 0.952 0.260 0.028
O 0.491 0.298 0.222
O 0.491 0.222 0.990
B 0.335 0.335 0.335
O 0.961 0.680 0.680
Na 0.287 0.713 0.713
O 0.759 0.952 0.028
Na 0.963 0.963 0.537
Na 0.287 0.287 0.713
As 0.750 0.750 0.750
Na 0.537 0.963 0.963
O 0.491 0.990 0.298
O 0.759 0.260 0.952
Na 0.713 0.713 0.287
V 0.125 0.125 0.625
O 0.952 0.759 0.260
B 0.994 0.335 0.335
O 0.680 0.680 0.680
O 0.222 0.298 0.990
O 0.028 0.759 0.952
O 0.990 0.491 0.222
Na 0.537 0.963 0.537
O 0.260 0.028 0.952
As 0.500 0.500 0.500
O 0.028 0.952 0.260
O 0.680 0.961 0.680
O 0.570 0.570 0.570
O 0.990 0.222 0.298
B 0.915 0.915 0.915
O 0.952 0.028 0.759
O 0.680 0.680 0.961
Na 0.963 0.537 0.963
O 0.990 0.298 0.491
B 0.256 0.915 0.915
Na 0.537 0.537 0.963
O 0.222 0.990 0.491
O 0.570 0.570 0.289
O 0.570 0.289 0.570
B 0.335 0.994 0.335
Na 0.963 0.537 0.537
O 0.028 0.260 0.759
O 0.298 0.990 0.222

Output
E (MP2020) = -410.042 eV/cell
E = -6.573 eV/atom
Space-group type = Fd-3
Energy of formation from the pure elements = -2.36 eV per atom
Mass density = 2.90 Mg/m³



Crystalline Na2VBAsO7 at its relaxed geometry. Source: the Materials Project database, functional GGA+U.

Unit cell a=5.602 b=18.742 c=6.583 alpha=90.02 beta=90.02 gamma=86.33
Atoms (fractional coordinates):
O 0.806 0.668 0.045
O 0.946 0.573 0.750
As 0.722 0.221 0.250
O 0.194 0.332 0.545
Na 0.764 0.399 0.009
As 0.278 0.279 0.750
O 0.194 0.832 0.955
O 0.543 0.098 0.750
Na 0.764 0.899 0.008
V 0.782 0.165 0.750
O 0.416 0.238 0.250
As 0.278 0.779 0.750
O 0.805 0.668 0.455
O 0.416 0.738 0.249
O 0.689 0.471 0.750
O 0.946 0.073 0.750
O 0.128 0.203 0.750
O 0.311 0.529 0.250
Na 0.236 0.101 0.509
O 0.311 0.029 0.250
O 0.689 0.971 0.750
O 0.584 0.262 0.750
O 0.872 0.297 0.250
O 0.457 0.902 0.250
Na 0.764 0.399 0.491
Na 0.236 0.601 0.509
O 0.806 0.168 0.045
Na 0.764 0.899 0.491
O 0.054 0.427 0.250
O 0.806 0.168 0.455
O 0.543 0.598 0.750
As 0.722 0.721 0.250
O 0.054 0.927 0.250
V 0.218 0.335 0.250
B 0.276 0.461 0.250
B 0.724 0.039 0.750
O 0.128 0.703 0.750
Na 0.236 0.101 0.991
B 0.277 0.961 0.250
O 0.195 0.832 0.545
O 0.457 0.402 0.250
O 0.872 0.797 0.250
V 0.218 0.835 0.250
V 0.782 0.665 0.750
O 0.194 0.332 0.955
B 0.723 0.539 0.750
Na 0.236 0.601 0.992
O 0.584 0.762 0.751

Output
E (MP2020) = -338.350 eV/cell
E = -6.507 eV/atom
Energy of formation from the pure elements = -2.24 eV per atom
Mass density = 2.84 Mg/m³



Crystalline Na3VBAsO7 at its relaxed geometry. Source: the Materials Project database, functional GGA+U.

Unit cell a=5.399 b=9.162 c=6.763 alpha=90.00 beta=90.00 gamma=88.33
Atoms (fractional coordinates):
Na 0.752 0.759 0.499
Na 0.248 0.241 0.999
Na 0.757 0.073 0.250
O 0.682 0.919 0.750
B 0.727 0.063 0.750
O 0.128 0.417 0.750
O 0.600 0.539 0.750
O 0.534 0.173 0.750
V 0.217 0.672 0.250
O 0.795 0.311 0.447
Na 0.248 0.241 0.501
O 0.205 0.689 0.947
O 0.872 0.583 0.250
O 0.466 0.827 0.250
As 0.285 0.577 0.750
Na 0.242 0.927 0.750
O 0.318 0.082 0.250
Na 0.752 0.759 0.001
O 0.205 0.689 0.553
B 0.273 0.937 0.250
O 0.039 0.875 0.250
V 0.783 0.328 0.750
O 0.795 0.311 0.053
O 0.961 0.125 0.750
O 0.400 0.461 0.250
As 0.715 0.423 0.250

Output
E (MP2020) = -177.609 eV/cell
E = -6.330 eV/atom
Space-group type = P2_1/m
Energy of formation from the pure elements = -2.29 eV per atom
Mass density = 3.15 Mg/m³



Crystalline BaCoAs2O7 at its relaxed geometry. Source: the Materials Project database, functional GGA+U.

Unit cell a=7.719 b=7.980 c=11.162 alpha=92.92 beta=95.44 gamma=102.88
Atoms (fractional coordinates):
O 0.099 0.201 0.961
O 0.779 0.393 0.293
O 0.485 0.768 0.405
O 0.515 0.232 0.095
Co 0.113 0.398 0.592
O 0.901 0.799 0.539
As 0.688 0.394 0.647
O 0.853 0.411 0.048
O 0.221 0.607 0.207
O 0.609 0.588 0.635
As 0.228 0.210 0.343
O 0.344 0.053 0.346
As 0.312 0.606 0.353
As 0.772 0.790 0.657
O 0.853 0.411 0.548
Ba 0.720 0.071 0.904
O 0.109 0.203 0.705
Ba 0.280 0.929 0.596
Co 0.887 0.602 0.408
O 0.891 0.797 0.795
O 0.609 0.588 0.135
O 0.656 0.947 0.154
O 0.344 0.053 0.846
O 0.515 0.232 0.595
O 0.222 0.607 0.707
O 0.147 0.589 0.952
O 0.485 0.768 0.905
As 0.312 0.606 0.853
As 0.688 0.394 0.147
Co 0.887 0.602 0.908
O 0.109 0.203 0.205
Co 0.113 0.398 0.092
O 0.656 0.947 0.654
Ba 0.280 0.929 0.096
Ba 0.720 0.071 0.404
O 0.099 0.201 0.461
O 0.901 0.799 0.039
As 0.228 0.210 0.843
O 0.391 0.412 0.365
O 0.778 0.393 0.793
O 0.147 0.589 0.452
As 0.772 0.790 0.157
O 0.891 0.797 0.295
O 0.391 0.412 0.865

Output
E (MP2020) = -302.464 eV/cell
E = -6.288 eV/atom
Energy of formation from the pure elements = -2.06 eV per atom
Mass density = 4.57 Mg/m³